DFT (GGA-PBE) results for a relaxed structure of Ba4HfO6.

Output
**Formation energy**: -35.4 eV/f.u.

abc: 7.4748 7.4748 7.4748
angles: 89.52 89.52 89.52
Sites, in units of the cell vectors:
Ba 0.7500 0.1144 0.3856
Ba 0.6144 0.2500 0.8856
Ba 0.8856 0.6144 0.2500
Ba 0.2500 0.2500 0.2500
Ba 0.7500 0.7500 0.7500
Ba 0.1144 0.3856 0.7500
Ba 0.3856 0.7500 0.1144
Ba 0.2500 0.8856 0.6144
Hf 0.5000 0.5000 0.5000
Hf 0.0000 0.0000 0.0000
O 0.9267 0.0576 0.7300
O 0.9424 0.2700 0.0733
O 0.7700 0.4424 0.5733
O 0.2700 0.0733 0.9424
O 0.4267 0.2300 0.5576
O 0.5576 0.4267 0.2300
O 0.4424 0.5733 0.7700
O 0.5733 0.7700 0.4424
O 0.7300 0.9267 0.0576
O 0.2300 0.5576 0.4267
O 0.0576 0.7300 0.9267
O 0.0733 0.9424 0.2700